Here is a geometry-optimized Na3Sc2Ta2SiP5O24 structure from the Materials Project. Energies are from PBE.

Unit cell a=8.889 b=8.873 c=22.776 alpha=89.99 beta=90.04 gamma=119.96
Atoms (fractional coordinates):
Na 0.360 0.992 0.751
Na 0.673 0.974 0.586
Na 0.677 0.700 0.083
Na 0.014 0.001 0.504
Na 0.010 0.005 0.004
Na 0.675 0.342 0.839
Na 0.666 0.333 0.338
Na 0.325 0.666 0.172
Na 0.329 0.653 0.671
Sc 0.003 0.999 0.647
Sc 0.006 0.003 0.147
Sc 0.669 0.336 0.980
Sc 0.661 0.331 0.480
Sc 0.334 0.667 0.313
Sc 0.337 0.665 0.814
Ta 0.000 0.000 0.354
Ta 0.995 0.000 0.854
Ta 0.669 0.333 0.687
Ta 0.671 0.334 0.188
Ta 0.327 0.667 0.020
Ta 0.330 0.666 0.520
Si 0.709 0.999 0.747
Si 0.371 0.043 0.582
Si 0.958 0.624 0.083
P 0.291 0.001 0.250
P 0.710 0.709 0.249
P 0.999 0.289 0.249
P 0.289 0.290 0.749
P 0.997 0.708 0.750
P 0.958 0.337 0.582
P 0.665 0.621 0.582
P 0.666 0.044 0.083
P 0.377 0.332 0.082
P 0.624 0.667 0.917
P 0.044 0.376 0.915
P 0.332 0.958 0.915
P 0.625 0.956 0.416
P 0.332 0.377 0.415
P 0.043 0.667 0.415
O 0.198 0.028 0.305
O 0.831 0.803 0.304
O 0.972 0.171 0.305
O 0.204 0.168 0.805
O 0.971 0.800 0.806
O 0.837 0.028 0.806
O 0.790 0.973 0.689
O 0.182 0.204 0.695
O 0.033 0.824 0.697
O 0.791 0.813 0.193
O 0.022 0.205 0.195
O 0.182 0.976 0.196
O 0.870 0.368 0.638
O 0.501 0.134 0.642
O 0.638 0.506 0.638
O 0.861 0.496 0.141
O 0.634 0.130 0.139
O 0.499 0.366 0.138
O 0.460 0.306 0.028
O 0.835 0.537 0.027
O 0.690 0.152 0.029
O 0.470 0.158 0.526
O 0.693 0.539 0.528
O 0.845 0.307 0.529
O 0.540 0.696 0.973
O 0.163 0.468 0.971
O 0.307 0.836 0.970
O 0.538 0.840 0.473
O 0.303 0.465 0.471
O 0.163 0.696 0.471
O 0.130 0.645 0.362
O 0.513 0.868 0.363
O 0.354 0.485 0.361
O 0.129 0.485 0.862
O 0.354 0.875 0.859
O 0.516 0.647 0.863
O 0.032 0.839 0.409
O 0.807 0.967 0.409
O 0.161 0.192 0.409
O 0.035 0.194 0.910
O 0.162 0.969 0.910
O 0.809 0.838 0.910
O 0.976 0.177 0.590
O 0.180 0.012 0.588
O 0.815 0.807 0.589
O 0.977 0.813 0.090
O 0.818 0.012 0.091
O 0.195 0.182 0.090
O 0.695 0.181 0.743
O 0.472 0.301 0.743
O 0.828 0.529 0.744
O 0.696 0.525 0.243
O 0.826 0.299 0.244
O 0.473 0.172 0.244
O 0.649 0.510 0.922
O 0.862 0.348 0.923
O 0.489 0.138 0.923
O 0.654 0.139 0.423
O 0.488 0.351 0.422
O 0.863 0.513 0.423
O 0.373 0.509 0.076
O 0.151 0.639 0.075
O 0.498 0.857 0.076
O 0.367 0.851 0.575
O 0.495 0.635 0.575
O 0.141 0.503 0.576
O 0.316 0.845 0.257
O 0.529 0.685 0.257
O 0.153 0.471 0.257
O 0.314 0.470 0.757
O 0.155 0.686 0.759
O 0.511 0.842 0.756

Calculated values
Size of the total moment in μB/f.u.: 0.00
MP2020-corrected energy in eV/atom: -8.25
VASP energy in eV/atom: -7.801